<A>
LiCoC2O6, optimized geometry, DFT GGA+U; crystal system = triclinic; spin magnetization = 1.5 μB/f.u.
1.0
5.1743 0.0000 0.0000
2.5384 6.0799 0.0000
0.1782 -0.0116 15.5261
Li Co C O
4 4 8 24
direct
0.0000 0.0000 0.0000
0.0109 0.2644 0.2443
0.0372 0.1771 0.7536
0.8855 0.1551 0.5049
0.2246 0.4157 0.4634
0.2288 0.4131 0.9614
0.7140 0.8907 0.7128
0.7355 0.8817 0.2147
0.0021 0.5100 0.0941
0.4378 0.0580 0.5841
0.4742 0.0190 0.0877
0.4868 0.2710 0.8335
0.5157 0.2609 0.3357
0.9606 0.5403 0.5952
0.9683 0.7913 0.8469
0.9695 0.7599 0.3431
0.0751 0.8548 0.7803
0.0888 0.8014 0.2753
0.0922 0.7075 0.4160
0.0951 0.7442 0.9194
0.2109 0.5346 0.5824
0.2217 0.3015 0.8424
0.2497 0.2928 0.3386
0.2553 0.5008 0.0781
0.2947 0.1172 0.5138
0.3238 0.0263 0.6550
0.3349 0.0720 0.0193
0.3681 0.9887 0.1617
0.5937 0.3126 0.9036
0.6145 0.2973 0.4088
0.6251 0.2106 0.7634
0.6661 0.2042 0.2675
0.7029 0.0210 0.5867
0.7103 0.7851 0.3308
0.7239 0.7858 0.8349
0.7418 0.9822 0.0937
0.8321 0.5999 0.6689
0.8468 0.4764 0.5329
0.8861 0.4704 0.0254
0.8868 0.5461 0.1684

***

<B>
LiCoC2O6, optimized geometry, DFT GGA+U; crystal system = triclinic; spin magnetization = 2.5 μB/f.u.
1.0
6.5307 0.0000 0.0000
-0.5158 7.6732 0.0000
-1.2819 -1.2469 10.3210
Li Co C O
4 4 8 24
direct
0.0000 0.0000 0.0000
0.1942 0.4929 0.6201
0.4230 0.9891 0.5296
0.7139 0.4767 0.1068
0.2743 0.3088 0.2554
0.3811 0.8114 0.9288
0.8007 0.3084 0.7627
0.8490 0.8058 0.4059
0.0103 0.1033 0.5784
0.1643 0.0152 0.2921
0.4394 0.0998 0.0632
0.4746 0.5923 0.4255
0.4818 0.5137 0.8729
0.6623 0.0145 0.7849
0.9667 0.5139 0.3682
0.9979 0.5956 0.9342
0.0539 0.3699 0.3499
0.0741 0.8687 0.3093
0.0957 0.7566 0.9563
0.1019 0.0937 0.1904
0.1654 0.0233 0.6077
0.2938 0.0677 0.9664
0.3197 0.0968 0.3674
0.3446 0.5750 0.7959
0.4232 0.5271 0.3037
0.4358 0.5180 0.5202
0.4668 0.2537 0.1347
0.5380 0.6077 0.9856
0.5558 0.9749 0.0849
0.5605 0.3678 0.8450
0.5665 0.8730 0.8048
0.5755 0.7530 0.4411
0.6159 0.0880 0.6809
0.8179 0.0976 0.8654
0.8421 0.5719 0.2811
0.8603 0.0421 0.4860
0.9253 0.5424 0.8129
0.9762 0.5058 0.0250
0.9886 0.2620 0.6404
0.9961 0.6092 0.4820

***

<B> is the least stable structure shown above.